# 1
Compound: KV5Se8
Source: Materials Project
Functional: GGA-PBE
Structure: relaxed

Computed properties:
Its formation energy is -1050.3 meV per atom. As for the calculated density: 5099 kg/m3.

POSCAR file:
```
KV5Se8
1.0
1.8509 9.3551 0.0000
-1.8509 9.3551 0.0000
0.0000 2.2023 8.7024
V K Se
5 1 8
Direct
0.7122 0.7122 0.1512 V
0.6509 0.6509 0.5104 V
0.0000 0.0000 0.5000 V
0.3491 0.3491 0.4896 V
0.2878 0.2878 0.8488 V
0.5000 0.5000 0.0000 K
0.5721 0.5721 0.3274 Se
0.9130 0.9130 0.3206 Se
0.2396 0.2396 0.3434 Se
0.7604 0.7604 0.6566 Se
0.4279 0.4279 0.6726 Se
0.1621 0.1621 0.0111 Se
0.8379 0.8379 0.9889 Se
0.0870 0.0870 0.6794 Se
```

# 2
Compound: K2WSe4
Source: Materials Project
Functional: GGA-PBE
Structure: relaxed

Computed properties:
Its formation energy is -1084.6 meV per atom. As for the calculated density: 4084 kg/m3.

POSCAR file:
```
K2WSe4
1.0
-2.2497 4.3001 5.4349
4.9278 -5.7277 6.5716
10.4845 7.3382 -1.4661
Se W K
16 4 8
Direct
0.0080 0.6488 0.8628 Se
0.9920 0.8512 0.3628 Se
0.2500 0.5193 0.3888 Se
0.2500 0.0193 0.1112 Se
0.7500 0.7220 0.1135 Se
0.2500 0.7780 0.6135 Se
0.5080 0.3512 0.1372 Se
0.7500 0.2220 0.3865 Se
0.4920 0.6488 0.8628 Se
0.7500 0.9807 0.8888 Se
0.7500 0.4807 0.6112 Se
0.5080 0.8512 0.3628 Se
0.0080 0.1488 0.6372 Se
0.4920 0.1488 0.6372 Se
0.2500 0.2780 0.8865 Se
0.9920 0.3512 0.1372 Se
0.7500 0.2527 0.5669 W
0.2500 0.2473 0.0669 W
0.2500 0.7473 0.4331 W
0.7500 0.7527 0.9331 W
0.2500 0.9514 0.8447 K
0.7500 0.0486 0.1553 K
0.2500 0.1527 0.3867 K
0.7500 0.8473 0.6133 K
0.2500 0.4514 0.6553 K
0.7500 0.3473 0.8867 K
0.7500 0.5486 0.3447 K
0.2500 0.6527 0.1133 K
```

# 3
Compound: KSi
Source: Materials Project
Functional: GGA-PBE
Structure: relaxed

Computed properties:
Its energy above the most stable polymorph in this dataset is 16 meV/atom. Its formation energy is -13.7 meV per atom. As for the calculated density: 1838 kg/m3.

POSCAR file:
```
KSi
1.0
7.2007 0.6907 8.8536
2.1323 11.2184 -0.5587
-10.4450 -4.6273 0.4487
Si K
16 16
Direct
0.3597 0.7011 0.4616 Si
0.2989 0.7604 0.6586 Si
0.8597 0.3982 0.6586 Si
0.3903 0.5489 0.0384 Si
0.8903 0.8518 0.8414 Si
0.1018 0.6403 0.3414 Si
0.6482 0.6097 0.1586 Si
0.6018 0.2604 0.4616 Si
0.2396 0.8982 0.5384 Si
0.5104 0.3518 0.9616 Si
0.1482 0.9896 0.0384 Si
0.0104 0.0489 0.1586 Si
0.7989 0.1403 0.5384 Si
0.7396 0.2011 0.3414 Si
0.9511 0.1097 0.9616 Si
0.4511 0.4896 0.8414 Si
0.2684 0.3750 0.3934 K
0.1250 0.7316 0.1066 K
0.1250 0.2316 0.6066 K
0.6297 0.6297 0.7594 K
0.6203 0.8797 0.5000 K
0.8797 0.3797 0.2594 K
0.1203 0.6203 0.7406 K
0.8703 0.8703 0.2406 K
0.6250 0.0184 0.8934 K
0.9816 0.8750 0.6066 K
0.6250 0.5184 0.3934 K
0.3797 0.1203 0.5000 K
0.4816 0.8750 0.1066 K
0.7684 0.3750 0.8934 K
0.3703 0.1297 0.0000 K
0.1297 0.3703 0.0000 K
```

# 4
Compound: KSi
Source: Materials Project
Functional: GGA-PBE
Structure: relaxed

Computed properties:
Its energy above the most stable polymorph in this dataset is 0 meV/atom. Its formation energy is -29.6 meV per atom. As for the calculated density: 1743 kg/m3. For the maximum piezoelectric response, the calculation gives 0.10 C/m2.

POSCAR file:
```
KSi
1.0
-3.9321 -3.0356 11.6878
-11.1003 -3.9307 -4.7553
4.7542 -11.6882 -1.4362
Si K
32 32
Direct
0.4322 0.5678 0.4322 Si
0.5623 0.0735 0.1830 Si
0.6830 0.5735 0.0623 Si
0.0623 0.3170 0.4265 Si
0.4265 0.9377 0.6830 Si
0.9377 0.6830 0.4265 Si
0.0678 0.9322 0.9322 Si
0.0623 0.6830 0.5735 Si
0.9377 0.3170 0.5735 Si
0.9322 0.0678 0.9322 Si
0.5678 0.4322 0.4322 Si
0.5735 0.0623 0.6830 Si
0.4377 0.0735 0.8170 Si
0.0735 0.8170 0.4377 Si
0.0735 0.1830 0.5623 Si
0.1830 0.5623 0.0735 Si
0.9265 0.8170 0.5623 Si
0.5623 0.9265 0.8170 Si
0.5678 0.5678 0.5678 Si
0.0678 0.0678 0.0678 Si
0.6830 0.4265 0.9377 Si
0.9322 0.9322 0.0678 Si
0.4377 0.9265 0.1830 Si
0.9265 0.1830 0.4377 Si
0.8170 0.4377 0.0735 Si
0.5735 0.9377 0.3170 Si
0.3170 0.5735 0.9377 Si
0.4265 0.0623 0.3170 Si
0.8170 0.5623 0.9265 Si
0.4322 0.4322 0.5678 Si
0.1830 0.4377 0.9265 Si
0.3170 0.4265 0.0623 Si
0.6627 0.1401 0.9336 K
0.3599 0.8373 0.4336 K
0.8599 0.0664 0.6627 K
0.1401 0.9336 0.6627 K
0.5664 0.3599 0.1627 K
0.8599 0.9336 0.3373 K
0.6663 0.6663 0.3337 K
0.3373 0.8599 0.9336 K
0.8337 0.1663 0.1663 K
0.1663 0.8337 0.1663 K
0.6401 0.1627 0.4336 K
0.3373 0.1401 0.0664 K
0.9336 0.6627 0.1401 K
0.6401 0.8373 0.5664 K
0.4336 0.3599 0.8373 K
0.3337 0.3337 0.3337 K
0.9336 0.3373 0.8599 K
0.6663 0.3337 0.6663 K
0.8373 0.5664 0.6401 K
0.5664 0.6401 0.8373 K
0.4336 0.6401 0.1627 K
0.0664 0.3373 0.1401 K
0.8337 0.8337 0.8337 K
0.1627 0.4336 0.6401 K
0.0664 0.6627 0.8599 K
0.6627 0.8599 0.0664 K
0.8373 0.4336 0.3599 K
0.1401 0.0664 0.3373 K
0.3599 0.1627 0.5664 K
0.1663 0.1663 0.8337 K
0.1627 0.5664 0.3599 K
0.3337 0.6663 0.6663 K
```

# 5
Compound: K15Si92
Source: Materials Project
Functional: GGA-PBE
Structure: relaxed

Computed properties:
Its formation energy is 50.0 meV per atom. Its total moment is 0.02 μB per atom. As for the calculated density: 2378 kg/m3.

POSCAR file:
```
K15Si92
1.0
10.3449 0.0000 0.0000
0.0000 10.3484 0.0000
0.0000 0.0000 20.6822
Si K
92 15
Direct
0.3814 0.5000 0.4035 Si
0.3151 0.6854 0.1576 Si
0.1850 0.1850 0.0925 Si
0.6853 0.3144 0.6574 Si
0.5000 0.0000 0.6246 Si
0.6931 0.0000 0.9406 Si
0.8072 0.6193 0.2500 Si
0.6849 0.6854 0.1576 Si
0.1839 0.8161 0.4081 Si
0.5000 0.8068 0.3096 Si
0.5000 0.0000 0.8751 Si
0.3151 0.6854 0.8424 Si
0.5000 0.8070 0.1903 Si
0.1192 0.3069 0.0000 Si
0.1928 0.6193 0.2500 Si
0.5000 0.1932 0.6904 Si
0.0000 0.8811 0.1534 Si
0.1189 0.6942 0.5000 Si
0.3815 0.5000 0.0965 Si
0.0000 0.1184 0.3471 Si
0.7499 0.5000 0.0000 Si
0.1928 0.3807 0.2500 Si
0.3147 0.3144 0.3426 Si
0.6849 0.6854 0.8424 Si
0.5000 0.0000 0.3754 Si
0.6185 0.5000 0.9035 Si
0.3069 0.0000 0.9406 Si
0.3151 0.3146 0.8424 Si
0.0000 0.8816 0.3471 Si
0.2493 0.5000 0.5000 Si
0.0000 0.1189 0.8466 Si
0.6853 0.3144 0.3426 Si
0.1850 0.8150 0.9075 Si
0.3147 0.3144 0.6574 Si
0.6186 0.5000 0.5965 Si
0.8808 0.3069 0.0000 Si
0.0000 0.1184 0.6529 Si
0.8150 0.8150 0.0925 Si
0.5000 0.1930 0.8097 Si
0.5000 0.1932 0.3096 Si
0.1839 0.1839 0.4081 Si
0.0000 0.2496 0.2500 Si
0.8072 0.6193 0.7500 Si
0.1850 0.1850 0.9075 Si
0.2501 0.5000 0.0000 Si
0.0000 0.8811 0.8466 Si
0.6941 0.0000 0.5595 Si
0.0000 0.2496 0.7500 Si
0.3069 0.0000 0.0594 Si
0.5000 0.1930 0.1903 Si
0.5000 0.8068 0.6904 Si
0.0000 0.7504 0.7500 Si
0.8161 0.1839 0.4081 Si
0.8150 0.8150 0.9075 Si
0.1839 0.8161 0.5919 Si
0.7507 0.5000 0.5000 Si
0.8150 0.1850 0.0925 Si
0.5000 0.0000 0.1249 Si
0.6931 0.0000 0.0594 Si
0.8072 0.3807 0.7500 Si
0.3151 0.3146 0.1576 Si
0.3147 0.6856 0.3426 Si
0.0000 0.1189 0.1534 Si
0.1928 0.6193 0.7500 Si
0.3815 0.5000 0.9035 Si
0.0000 0.7504 0.2500 Si
0.3059 0.0000 0.5595 Si
0.8808 0.6931 0.0000 Si
0.1850 0.8150 0.0925 Si
0.1839 0.1839 0.5919 Si
0.6849 0.3146 0.1576 Si
0.6849 0.3146 0.8424 Si
0.5000 0.8070 0.8097 Si
0.8811 0.3058 0.5000 Si
0.6941 0.0000 0.4405 Si
0.1928 0.3807 0.7500 Si
0.8161 0.1839 0.5919 Si
0.1192 0.6931 0.0000 Si
0.8161 0.8161 0.4081 Si
0.3147 0.6856 0.6574 Si
0.3814 0.5000 0.5965 Si
0.6186 0.5000 0.4035 Si
0.8150 0.1850 0.9075 Si
0.6853 0.6856 0.3426 Si
0.6853 0.6856 0.6574 Si
0.6185 0.5000 0.0965 Si
0.8072 0.3807 0.2500 Si
0.3059 0.0000 0.4405 Si
0.0000 0.8816 0.6529 Si
0.8161 0.8161 0.5919 Si
0.8811 0.6942 0.5000 Si
0.1189 0.3058 0.5000 Si
0.0000 0.5000 0.8750 K
0.5000 0.7502 0.5000 K
0.7500 0.0000 0.2500 K
0.0000 0.5000 0.6249 K
0.2500 0.0000 0.7500 K
0.7500 0.0000 0.7500 K
0.2500 0.0000 0.2500 K
0.5000 0.7501 0.0000 K
0.5000 0.2498 0.5000 K
0.5000 0.5000 0.2500 K
0.0000 0.0000 0.0000 K
0.0000 0.5000 0.1250 K
0.5000 0.5000 0.7500 K
0.0000 0.5000 0.3751 K
0.5000 0.2499 0.0000 K
```

# 6
Compound: K7Si8Te20
Source: Materials Project
Functional: GGA-PBE
Structure: relaxed

Computed properties:
Its formation energy is -502.2 meV per atom. Its total moment is 0.00 μB per atom. As for the calculated density: 3609 kg/m3.

POSCAR file:
```
K7Si8Te20
1.0
15.2317 0.0000 0.0000
0.0000 10.8425 0.0000
0.0000 5.7624 16.9959
Te Si K
40 16 14
Direct
0.0748 0.0321 0.0504 Te
0.8344 0.9230 0.7312 Te
0.3781 0.8449 0.6467 Te
0.1080 0.5299 0.3802 Te
0.3534 0.7960 0.1864 Te
0.5117 0.7718 0.9970 Te
0.7956 0.8525 0.8916 Te
0.3893 0.0096 0.7440 Te
0.0901 0.4900 0.0466 Te
0.8593 0.0710 0.3217 Te
0.1205 0.1657 0.3942 Te
0.1407 0.0710 0.8217 Te
0.6466 0.7960 0.6864 Te
0.5638 0.4612 0.4444 Te
0.7443 0.4525 0.7294 Te
0.6771 0.1876 0.6393 Te
0.6821 0.1994 0.0139 Te
0.5358 0.4529 0.1746 Te
0.9252 0.0321 0.5504 Te
0.5851 0.0046 0.4649 Te
0.4642 0.4529 0.6746 Te
0.4883 0.7718 0.4970 Te
0.8920 0.5299 0.8802 Te
0.9099 0.4900 0.5466 Te
0.1656 0.9230 0.2312 Te
0.8170 0.5444 0.2636 Te
0.8625 0.7496 0.3186 Te
0.6107 0.0096 0.2440 Te
0.9840 0.2935 0.9863 Te
0.6219 0.8449 0.1467 Te
0.0160 0.2935 0.4863 Te
0.3229 0.1876 0.1393 Te
0.2557 0.4525 0.2294 Te
0.1830 0.5444 0.7636 Te
0.2044 0.8525 0.3916 Te
0.1375 0.7496 0.8186 Te
0.8795 0.1657 0.8942 Te
0.3179 0.1994 0.5139 Te
0.4149 0.0046 0.9649 Te
0.4362 0.4612 0.9444 Te
0.0980 0.3935 0.2751 Si
0.4924 0.6944 0.1474 Si
0.9821 0.0085 0.4189 Si
0.9822 0.6554 0.4273 Si
0.9020 0.3935 0.7751 Si
0.5721 0.0210 0.6073 Si
0.4279 0.0210 0.1073 Si
0.4439 0.1528 0.6069 Si
0.5407 0.3351 0.5852 Si
0.4593 0.3351 0.0852 Si
0.5076 0.6944 0.6474 Si
0.0179 0.0085 0.9189 Si
0.5561 0.1528 0.1069 Si
0.9395 0.8096 0.9714 Si
0.0178 0.6554 0.9273 Si
0.0605 0.8096 0.4714 Si
0.7159 0.6802 0.5054 K
0.7736 0.2913 0.4363 K
0.5902 0.1989 0.8322 K
0.8918 0.3594 0.1565 K
0.1575 0.9824 0.6250 K
0.6590 0.5455 0.8970 K
0.9726 0.6969 0.6758 K
0.4098 0.1989 0.3322 K
0.3410 0.5455 0.3970 K
0.2264 0.2913 0.9363 K
0.2841 0.6802 0.0054 K
0.8425 0.9824 0.1250 K
0.0274 0.6969 0.1758 K
0.1082 0.3594 0.6565 K
```

# 7
Compound: KSm3
Source: Materials Project
Functional: GGA-PBE
Structure: relaxed

Computed properties:
Its formation energy is 481.7 meV per atom. Its total moment is 0.07 μB per atom. As for the calculated density: 5340 kg/m3.

POSCAR file:
```
KSm3
1.0
-2.6411 2.6411 5.4626
2.6411 -2.6411 5.4626
2.6411 2.6411 -5.4626
Sm K
3 1
Direct
0.5000 0.5000 0.0000 Sm
0.7500 0.2500 0.5000 Sm
0.2500 0.7500 0.5000 Sm
0.0000 0.0000 0.0000 K
```

# 8
Compound: KSm
Source: Materials Project
Functional: GGA-PBE
Structure: relaxed

Computed properties:
Its formation energy is 469.1 meV per atom. Its total moment is 0.00 μB per atom. As for the calculated density: 3732 kg/m3.

POSCAR file:
```
KSm
1.0
-1.0222 -1.9115 2.9793
3.2025 1.8216 -0.0128
-3.2983 5.8154 2.6003
K Sm
1 1
Direct
0.6667 0.3333 0.7500 K
0.3333 0.6667 0.2500 Sm
```

Look up the calculated density of the third one.
1838 kg/m3

What is the formula in the fifth record?
K15Si92